Record 1
# Mg6MnVO8 GGA+U optimized geometry
data_Mg6MnVO8
_chemical_formula_sum 'Mg6 Mn1 V1 O8'
_cell_length_a 4.320
_cell_length_b 4.320
_cell_length_c 8.655
_cell_angle_alpha 90.00
_cell_angle_beta 90.00
_cell_angle_gamma 90.00
_space_group_name_H-M_alt 'P 4/m m m'
_space_group_IT_number 123
_space_group_name_Hall '-P 4 2'
loop_
_atom_site_label
_atom_site_type_symbol
_atom_site_fract_x
_atom_site_fract_y
_atom_site_fract_z
_atom_site_occupancy
Mg1 Mg 0.000 0.000 0.000 1
Mg2 Mg 0.000 0.000 0.500 1
Mg3 Mg 0.000 0.500 0.249 1
Mn1 Mn 0.500 0.500 0.500 1
V1 V 0.500 0.500 0.000 1
O1 O 0.000 0.000 0.250 1
O2 O 0.000 0.500 0.000 1
O3 O 0.000 0.500 0.500 1
O4 O 0.500 0.500 0.248 1
# **M_tot**: 8.00 μB per formula unit
# **E_form**: -2.77 eV/atom



Record 2
# MgMn2V2O7 GGA+U optimized geometry
data_MgMn2V2O7
_chemical_formula_sum 'Mg1 Mn2 V2 O7'
_cell_length_a 5.417
_cell_length_b 5.578
_cell_length_c 5.672
_cell_angle_alpha 111.83
_cell_angle_beta 93.33
_cell_angle_gamma 95.34
_space_group_name_H-M_alt 'P 1'
_space_group_IT_number 1
loop_
_space_group_symop_operation_xyz
'x,y,z'
loop_
_atom_site_label
_atom_site_type_symbol
_atom_site_fract_x
_atom_site_fract_y
_atom_site_fract_z
_atom_site_occupancy
Mg1 Mg 0.000 0.000 0.000 1
Mn1 Mn 0.841 0.390 0.834 1
Mn2 Mn 0.849 0.724 0.449 1
V1 V 0.245 0.331 0.463 1
V2 V 0.483 0.815 0.909 1
O1 O 0.020 0.392 0.224 1
O2 O 0.093 0.133 0.603 1
O3 O 0.148 0.671 0.749 1
O4 O 0.347 0.063 0.174 1
O5 O 0.572 0.503 0.600 1
O6 O 0.689 0.008 0.779 1
O7 O 0.740 0.753 0.100 1
# **Relative energy among the computed polymorphs**: 2 meV per atom
# **M_tot**: 12.00 μB per formula unit
# **E_form**: -2.34 eV/atom



Record 3
# MgMn2V2O8 GGA+U optimized geometry
data_MgMn2V2O8
_chemical_formula_sum 'Mg2 Mn4 V4 O16'
_cell_length_a 6.609
_cell_length_b 5.693
_cell_length_c 9.790
_cell_angle_alpha 90.00
_cell_angle_beta 90.00
_cell_angle_gamma 90.00
_space_group_name_H-M_alt 'A m m 2'
_space_group_IT_number 38
loop_
_space_group_symop_operation_xyz
'x,y,z'
'-x,-y,z'
'-x,y,z'
'x,-y,z'
'x,y+1/2,z+1/2'
'-x,-y+1/2,z+1/2'
'-x,y+1/2,z+1/2'
'x,-y+1/2,z+1/2'
loop_
_atom_site_label
_atom_site_type_symbol
_atom_site_fract_x
_atom_site_fract_y
_atom_site_fract_z
_atom_site_occupancy
Mg1 Mg 0.000 0.000 0.000 1
Mn1 Mn 0.275 0.000 0.245 1
V1 V 0.000 0.000 0.732 1
V2 V 0.500 0.000 0.562 1
O1 O 0.000 0.216 0.154 1
O2 O 0.196 0.000 0.845 1
O3 O 0.290 0.000 0.456 1
O4 O 0.500 0.240 0.164 1
# **Relative energy among the computed polymorphs**: 125 meV per atom
# **M_tot**: 10.00 μB per formula unit
# **E_form**: -2.26 eV/atom